First-principles (PBE with a Hubbard U) data for a geometry-optimized Sr5Ca3MnFe7O24 structure, as listed in Materials Project.

```
data_Sr5Ca3MnFe7O24
_chemical_formula_sum 'Sr5 Ca3 Mn1 Fe7 O24'
_space_group_name_H-M_alt 'P 1'
_space_group_IT_number 1
_space_group_name_Hall 'P 1'
_cell_length_a 7.776
_cell_length_b 7.776
_cell_length_c 7.771
_cell_angle_alpha 89.99
_cell_angle_beta 89.99
_cell_angle_gamma 89.99
loop_
_atom_site_label
_atom_site_type_symbol
_atom_site_fract_x
_atom_site_fract_y
_atom_site_fract_z
Ca1 Ca 0.251 0.749 0.251
Ca2 Ca 0.749 0.749 0.251
Ca3 Ca 0.749 0.251 0.251
Sr1 Sr 0.250 0.250 0.750
Sr2 Sr 0.250 0.750 0.750
Sr3 Sr 0.750 0.750 0.750
Sr4 Sr 0.250 0.250 0.250
Sr5 Sr 0.750 0.250 0.750
Fe1 Fe 0.501 0.501 0.002
Fe2 Fe 0.501 0.999 0.498
Fe3 Fe 0.501 0.999 0.002
Fe4 Fe 0.999 0.501 0.002
Fe5 Fe 0.999 0.999 0.002
Fe6 Fe 0.999 0.999 0.498
Fe7 Fe 0.999 0.501 0.498
O1 O 0.249 0.997 0.496
O2 O 0.501 0.501 0.748
O3 O 0.503 0.997 0.249
O4 O 0.997 0.251 0.004
O5 O 0.748 0.501 0.494
O6 O 0.999 0.751 0.494
O7 O 0.503 0.249 0.004
O8 O 0.751 0.501 0.006
O9 O 0.997 0.503 0.249
O10 O 0.503 0.252 0.496
O11 O 0.251 0.997 0.004
O12 O 0.999 0.501 0.751
O13 O 0.501 0.999 0.751
O14 O 0.997 0.249 0.496
O15 O 0.249 0.503 0.004
O16 O 0.999 0.999 0.749
O17 O 0.503 0.503 0.252
O18 O 0.501 0.751 0.006
O19 O 0.997 0.997 0.251
O20 O 0.999 0.749 0.006
O21 O 0.501 0.748 0.494
O22 O 0.252 0.503 0.496
O23 O 0.751 0.999 0.494
O24 O 0.749 0.999 0.006
Mn1 Mn 0.501 0.501 0.498
```

Calculated values
SG: Cm (8)
ΔE_f (eV per atom): -2.237

---

First-principles (PBE with a Hubbard U) data for a geometry-optimized Sr6Ca2MnFe7O24 structure, as listed in Materials Project.

```
data_Sr6Ca2MnFe7O24
_chemical_formula_sum 'Sr6 Ca2 Mn1 Fe7 O24'
_space_group_name_H-M_alt 'P 1'
_space_group_IT_number 1
_space_group_name_Hall 'P 1'
_cell_length_a 7.795
_cell_length_b 7.795
_cell_length_c 7.792
_cell_angle_alpha 90.00
_cell_angle_beta 90.00
_cell_angle_gamma 90.01
loop_
_atom_site_label
_atom_site_type_symbol
_atom_site_fract_x
_atom_site_fract_y
_atom_site_fract_z
Fe1 Fe 0.000 0.500 0.501
Fe2 Fe 0.000 0.500 0.999
Fe3 Fe 0.500 0.000 0.999
Fe4 Fe 0.500 0.000 0.501
Fe5 Fe 0.000 0.000 0.501
Fe6 Fe 0.000 0.000 0.999
Fe7 Fe 0.500 0.500 0.999
O1 O 0.502 0.251 0.502
O2 O 0.500 0.000 0.751
O3 O 0.498 0.749 0.502
O4 O 0.502 0.249 0.998
O5 O 0.500 0.500 0.749
O6 O 0.749 0.002 0.998
O7 O 0.998 0.251 0.998
O8 O 0.249 0.502 0.998
O9 O 0.000 0.000 0.749
O10 O 0.000 0.500 0.751
O11 O 0.249 0.998 0.502
O12 O 0.002 0.751 0.502
O13 O 0.498 0.751 0.998
O14 O 0.500 0.000 0.249
O15 O 0.000 0.000 0.251
O16 O 0.000 0.500 0.249
O17 O 0.998 0.249 0.502
O18 O 0.749 0.498 0.502
O19 O 0.251 0.502 0.502
O20 O 0.751 0.498 0.998
O21 O 0.500 0.500 0.251
O22 O 0.751 0.002 0.502
O23 O 0.251 0.998 0.998
O24 O 0.002 0.749 0.998
Sr1 Sr 0.750 0.750 0.250
Sr2 Sr 0.750 0.750 0.750
Sr3 Sr 0.750 0.250 0.250
Sr4 Sr 0.250 0.250 0.250
Sr5 Sr 0.250 0.250 0.750
Sr6 Sr 0.250 0.750 0.250
Ca1 Ca 0.250 0.750 0.750
Ca2 Ca 0.750 0.250 0.750
Mn1 Mn 0.500 0.500 0.501
```

Calculated values
SG: Cmm2 (35)
ΔE_f (eV per atom): -2.242